Record 1
A plane-wave DFT calculation with meta-GGA r2SCAN was carried out for crystalline Er2ZnCu at its relaxed geometry.

a = 6.9090 Å, b = 6.9090 Å, c = 6.9090 Å
α = 90.00°, β = 90.00°, γ = 90.00°
With the nearest neighbours (Å) after each atom.
Space group Fm-3m (No. 225)
Unique sites:
Er 0.2500 0.2500 0.2500 x8  4 Zn 2.99, 4 Cu 2.99
Zn 0.0000 0.0000 0.0000 x4  8 Er 2.99
Cu 0.0000 0.0000 0.5000 x4  8 Er 2.99

Values from the calculation:
magnetization: 0.000 μB per formula unit

***

Record 2
A plane-wave DFT calculation with meta-GGA r2SCAN was carried out for crystalline EuCu5 at its relaxed geometry.

a = 5.1069 Å, b = 5.1069 Å, c = 4.0213 Å
α = 90.00°, β = 90.00°, γ = 120.00°
With the nearest neighbours (Å) after each atom.
Space group P6/mmm (No. 191)
Unique sites:
Eu 0.0000 0.0000 0.0000 x1  18 Cu 2.95-3.25
Cu 0.0000 0.5000 0.5000 x3  8 Cu 2.49-2.55
Cu 0.3333 0.6667 0.0000 x2  6 Cu 2.49

Values from the calculation:
magnetization: 7.304 μB per formula unit

***

Record 3
A plane-wave DFT calculation with meta-GGA r2SCAN was carried out for crystalline EuCu at its relaxed geometry.

a = 7.9021 Å, b = 4.2926 Å, c = 5.9288 Å
α = 90.00°, β = 90.00°, γ = 90.00°
With the nearest neighbours (Å) after each atom.
Space group Pnma (No. 62)
Unique sites:
Eu 0.1788 0.2500 0.1249 x4  7 Cu 3.06-3.33
Cu 0.0287 0.2500 0.5998 x4  2 Cu 2.49

Values from the calculation:
magnetization: 7.331 μB per formula unit

***

The evaluated calculated formation energy for the records listed, in turn: -0.328; -0.105; -0.120 eV per atom.